Entry from the Materials Project: a geometry-optimized K3V5S10 structure (PBE-GGA). Values from VASP.

Calculated values
SG: No. 1
energy relative to the elements: -1275 meV per atom

Cell and atoms, written as Quantum ESPRESSO input:
```
&SYSTEM
  ibrav = 0, nat = 18, ntyp = 3
/
ATOMIC_SPECIES
K 39.10 K.upf
S 32.06 S.upf
V 50.94 V.upf
ATOMIC_POSITIONS crystal
K 0.8599 0.4981 0.4010
K 0.0516 0.5075 0.8035
K 0.2652 0.5023 0.1959
S 0.1794 0.8311 0.1382
S 0.6289 0.1722 0.4675
S 0.4268 0.1810 0.0659
S 0.8303 0.1855 0.8742
S 0.5653 0.8148 0.9190
S 0.9721 0.8214 0.7304
S 0.7744 0.8227 0.3277
S 0.3751 0.8115 0.5300
S 0.2413 0.1929 0.6795
S 0.0403 0.1810 0.2810
V 0.3940 0.0037 0.7847
V 0.6031 0.0011 0.1783
V 0.2109 0.9991 0.4263
V 0.8109 0.0022 0.6071
V 0.9868 0.0020 0.0017
CELL_PARAMETERS angstrom
5.8483 0.0000 0.0000
-1.9559 8.4496 0.0000
-2.9169 -3.4349 7.7834
```